No. 1
A relaxed Na14Y6Nb2Si9S3O48 crystal, computed with GGA-PBE.

Cell lengths 9.3927, 16.3071, 23.0859 Å; angles 90.45, 90.10, 90.00 degrees
Last column: nearest neighbours and their distance in Å.
Fractional coordinates of all 246 atoms:
Na1 0.0000 0.0000 0.0000  3 O 2.45-2.63
Na2 0.0010 0.3260 0.6524  4 O 2.37-2.55
Na3 0.0040 0.3553 0.0048  4 O 2.41-2.69
Na4 0.0178 0.6537 0.3240  3 O 2.40-2.54
Na5 0.1274 0.1551 0.8286  4 O 2.40-2.58
Na6 0.1408 0.8579 0.5004  2 O 2.39-2.55
Na7 0.1445 0.8282 0.1516  4 O 2.40-2.54
Na8 0.1530 0.4995 0.4922  5 O 2.45-2.74
Na9 0.1557 0.5341 0.8266  3 O 2.39-2.60
Na10 0.1752 0.1882 0.4976  2 O 2.39-2.65
Na11 0.1973 0.8549 0.8408  5 O 2.45-2.67
Na12 0.3101 0.6671 0.2322  4 O 2.37-2.64
Na13 0.3175 0.0087 0.9206  4 O 2.47-2.75
Na14 0.3199 0.3469 0.5756  6 O 2.54-2.59
Na15 0.3196 0.6786 0.7473  4 O 2.47-2.60
Na16 0.3214 0.3450 0.0775  6 O 2.61-2.75
Na17 0.3387 0.0138 0.4125  2 O 2.39-2.65
Na18 0.4428 0.5146 0.6556  3 O 2.35-2.54
Na19 0.4633 0.8574 0.3294  6 O 2.52-2.74
Na20 0.4650 0.1827 0.0058  4 O 2.43-2.70
Na21 0.4890 0.5031 0.9975  3 O 2.45-2.70
Na22 0.5018 0.8643 0.9989  3 O 2.41-2.64
Na23 0.5027 0.5237 0.3270  4 O 2.48-2.63
Na24 0.5143 0.2010 0.6524  5 O 2.44-2.72
Na25 0.5201 0.1613 0.3239  4 O 2.45-2.52
Na26 0.6205 0.6630 0.8365  4 O 2.42-2.51
Na27 0.6278 0.7024 0.1520  5 O 2.44-2.68
Na28 0.6330 0.3579 0.4928  2 O 2.42-2.64
Na29 0.6379 0.0261 0.8339  6 O 2.51-2.76
Na30 0.6541 0.0034 0.4936  4 O 2.49-2.74
Na31 0.6759 0.3560 0.8359  5 O 2.50-2.71
Na32 0.6761 0.6845 0.5005  3 O 2.42-2.70
Na33 0.6904 0.0230 0.1573  4 O 2.37-2.63
Na34 0.8049 0.5124 0.9191  5 O 2.54-2.84
Na35 0.8071 0.1786 0.2400  4 O 2.48-2.61
Na36 0.8229 0.8494 0.5728  6 O 2.52-2.82
Na37 0.8235 0.8496 0.0773  6 O 2.51-2.64
Na38 0.8265 0.5084 0.4086  4 O 2.50-2.73
Na39 0.8338 0.1668 0.7339  4 O 2.40-2.66
Na40 0.9481 0.3524 0.3354  5 O 2.48-2.62
Na41 0.9729 0.6912 0.0020  2 O 2.38-2.62
Na42 0.9888 0.0348 0.3205  4 O 2.44-2.70
Y1 0.3122 0.6834 0.5951  5 O 2.12-2.35
Y2 0.3172 0.6778 0.0951  6 O 2.15-2.28
Y3 0.3181 0.0140 0.7593  5 O 2.14-2.26
Y4 0.3194 0.6761 0.4022  4 O 2.17-2.36
Y5 0.3240 0.3540 0.7193  6 O 2.17-2.40
Y6 0.3247 0.3525 0.4302  6 O 2.16-2.32
Y7 0.3251 0.6806 0.9015  5 O 2.18-2.44
Y8 0.3257 0.0170 0.2572  4 O 2.12-2.29
Y9 0.3285 0.3518 0.9321  6 O 2.16-2.36
Y10 0.8150 0.8520 0.4312  6 O 2.14-2.33
Y11 0.8168 0.1795 0.3990  5 O 2.18-2.38
Y12 0.8189 0.8528 0.9326  6 O 2.17-2.35
Y13 0.8192 0.8549 0.2191  5 O 2.16-2.41
Y14 0.8208 0.5146 0.7591  4 O 2.08-2.26
Y15 0.8226 0.1779 0.9043  4 O 2.16-2.40
Y16 0.8254 0.1767 0.5955  6 O 2.15-2.30
Y17 0.8248 0.1829 0.0962  6 O 2.17-2.36
Y18 0.8263 0.5136 0.2583  5 O 2.14-2.28
Nb1 0.3188 0.0196 0.0653  6 O 1.94-2.09
Nb2 0.3294 0.0199 0.5600  5 O 1.92-2.02
Nb3 0.3455 0.3560 0.2226  4 O 1.88-1.98
Nb4 0.8062 0.8604 0.7259  3 O 1.87-1.90
Nb5 0.8153 0.5194 0.0610  5 O 1.93-2.02
Nb6 0.8320 0.5093 0.5593  5 O 1.92-2.01
Si1 0.0140 0.6790 0.4946  4 O 1.61-1.67
Si2 0.0245 0.0171 0.1653  4 O 1.62-1.70
Si3 0.1187 0.5187 0.6650  4 O 1.62-1.71
Si4 0.1279 0.1790 0.9937  4 O 1.61-1.67
Si5 0.1597 0.5312 0.9926  4 O 1.61-1.68
Si6 0.1762 0.8373 0.9968  4 O 1.62-1.67
Si7 0.1769 0.1635 0.6645  4 O 1.62-1.72
Si8 0.1772 0.4955 0.3272  4 O 1.62-1.71
Si9 0.4670 0.1687 0.1650  4 O 1.61-1.70
Si10 0.4667 0.8331 0.4966  4 O 1.61-1.69
Si11 0.4670 0.8678 0.1623  4 O 1.62-1.70
Si12 0.4736 0.5015 0.8279  4 O 1.63-1.67
Si13 0.4810 0.5324 0.5000  4 O 1.62-1.68
Si14 0.5181 0.1816 0.4982  4 O 1.60-1.71
Si15 0.5200 0.8474 0.8288  4 O 1.60-1.77
Si16 0.5294 0.5157 0.1647  4 O 1.60-1.70
Si17 0.6142 0.0144 0.6645  4 O 1.60-1.73
Si18 0.6245 0.3481 0.3293  4 O 1.61-1.74
Si19 0.6266 0.6807 0.9977  4 O 1.60-1.71
Si20 0.6616 0.0317 0.9980  4 O 1.61-1.67
Si21 0.6674 0.0002 0.3294  4 O 1.64-1.66
Si22 0.6765 0.3347 0.9950  4 O 1.60-1.68
Si23 0.6756 0.3676 0.6616  4 O 1.61-1.70
Si24 0.9667 0.6641 0.1649  4 O 1.61-1.72
Si25 0.9676 0.9990 0.8290  4 O 1.60-1.76
Si26 0.9718 0.3323 0.4964  4 O 1.61-1.71
Si27 0.9823 0.0310 0.4934  4 O 1.61-1.69
S1 0.0216 0.3471 0.8280  4 O 1.47-1.51
S2 0.1215 0.8463 0.3293  4 O 1.48-1.50
S3 0.1595 0.8658 0.6629  4 O 1.47-1.51
S4 0.1750 0.2039 0.3270  4 O 1.48-1.50
S5 0.4724 0.2004 0.8274  4 O 1.48-1.50
S6 0.6712 0.6999 0.3284  4 O 1.47-1.50
S7 0.6793 0.6693 0.6628  4 O 1.48-1.50
S8 0.9660 0.7062 0.8251  4 O 1.47-1.49
S9 0.9827 0.3676 0.1613  4 O 1.46-1.50
O1 0.9996 0.8570 0.6673  1 S 1.51
O2 0.0041 0.5067 0.3232  1 Si 1.64
O3 0.0043 0.8501 0.9926  1 Si 1.63
O4 0.0081 0.1810 0.6588  1 Si 1.62
O5 0.0146 0.2024 0.0434  1 Si 1.61
O6 0.0158 0.1993 0.3282  1 S 1.50
O7 0.0307 0.8379 0.2772  1 S 1.48
O8 0.0319 0.8511 0.3820  1 S 1.48
O9 0.0327 0.5255 0.7257  1 Si 1.62
O10 0.0409 0.1587 0.9326  1 Si 1.66
O11 0.1039 0.6552 0.4355  1 Si 1.65
O12 0.1079 0.0213 0.2269  1 Si 1.62
O13 0.1110 0.3391 0.7755  1 S 1.48
O14 0.1115 0.3534 0.8801  1 S 1.47
O15 0.1248 0.7001 0.8258  1 S 1.49
O16 0.1247 0.7014 0.5457  1 Si 1.61
O17 0.1352 0.6814 0.1588  1 Si 1.61
O18 0.1391 0.0081 0.8231  1 Si 1.62
O19 0.1415 0.3492 0.4930  1 Si 1.62
O20 0.1414 0.3624 0.1647  1 S 1.50
O21 0.1453 0.0147 0.1108  1 Si 1.70
O22 0.1564 0.0224 0.5100  1 Si 1.69
O23 0.1672 0.5865 0.9330  1 Si 1.65
O24 0.1918 0.9159 0.6109  1 S 1.49
O25 0.1987 0.4290 0.6582  1 Si 1.65
O26 0.2019 0.7761 0.0506  1 Si 1.62
O27 0.2037 0.4464 0.3869  1 Si 1.62
O28 0.2092 0.1181 0.7252  1 Si 1.62
O29 0.2104 0.9223 0.3284  1 S 1.50
O30 0.2138 0.9056 0.7163  1 S 1.48
O31 0.2148 0.4363 0.9877  1 Si 1.63
O32 0.2160 0.7723 0.3315  1 S 1.50
O33 0.2178 0.2551 0.2774  1 S 1.48
O34 0.2220 0.0942 0.0063  1 Si 1.67
O35 0.2247 0.7838 0.6595  1 S 1.47
O36 0.2287 0.2400 0.3822  1 S 1.49
O37 0.2344 0.1193 0.3241  1 S 1.49
O38 0.2339 0.5930 0.6615  1 Si 1.63
O39 0.2420 0.2544 0.9889  1 Si 1.64
O40 0.2458 0.1016 0.6108  1 Si 1.72
O41 0.2457 0.4357 0.2727  1 Si 1.71
O42 0.2497 0.8001 0.9370  1 Si 1.66
O43 0.2506 0.9294 0.0070  1 Si 1.67
O44 0.2539 0.5744 0.0423  1 Si 1.61
O45 0.2606 0.5848 0.3258  1 Si 1.65
O46 0.2678 0.2489 0.6585  1 Si 1.64
O47 0.3829 0.2602 0.1718  1 Si 1.70
O48 0.3864 0.9239 0.5097  1 Si 1.69
O49 0.3905 0.5907 0.8310  1 Si 1.65
O50 0.3932 0.7983 0.4363  1 Si 1.65
O51 0.3968 0.1166 0.1084  1 Si 1.69
O52 0.3999 0.7767 0.1568  1 Si 1.62
O53 0.4015 0.2541 0.4914  1 Si 1.62
O54 0.4060 0.5752 0.5555  1 Si 1.62
O55 0.4077 0.9058 0.2229  1 Si 1.62
O56 0.4102 0.4546 0.7702  1 Si 1.64
O57 0.4111 0.1162 0.8250  1 S 1.49
O58 0.4129 0.2401 0.8798  1 S 1.48
O59 0.4157 0.9328 0.1093  1 Si 1.70
O60 0.4178 0.4396 0.4944  1 Si 1.63
O61 0.4209 0.0937 0.5073  1 Si 1.71
O62 0.4218 0.9292 0.8242  1 Si 1.63
O63 0.4270 0.4297 0.1681  1 Si 1.70
O64 0.4288 0.7627 0.8247  1 Si 1.63
O65 0.4351 0.5966 0.1573  1 Si 1.60
O66 0.4364 0.2490 0.7755  1 S 1.48
O67 0.4404 0.1178 0.2239  1 Si 1.62
O68 0.4413 0.7695 0.5485  1 Si 1.61
O69 0.4454 0.4440 0.8844  1 Si 1.63
O70 0.4641 0.5888 0.4416  1 Si 1.65
O71 0.4862 0.0255 0.0073  1 Si 1.67
O72 0.4914 0.0112 0.3297  1 Si 1.66
O73 0.5024 0.0016 0.6085  1 Si 1.68
O74 0.5024 0.3438 0.2726  1 Si 1.74, 1 Nb 1.88
O75 0.5019 0.3674 0.6574  1 Si 1.63
O76 0.5051 0.3534 0.9932  1 Si 1.64
O77 0.5125 0.6944 0.3319  1 S 1.50
O78 0.5228 0.6774 0.6595  1 S 1.48
O79 0.5277 0.3578 0.3866  1 Si 1.61
O80 0.5289 0.0192 0.7243  1 Si 1.60
O81 0.5286 0.6978 0.0533  1 Si 1.60
O82 0.5344 0.6583 0.9393  1 Si 1.64
O83 0.6119 0.1589 0.4410  1 Si 1.63
O84 0.6130 0.1988 0.5549  1 Si 1.60
O85 0.6142 0.5216 0.2250  1 Si 1.60
O86 0.6201 0.8563 0.8847  1 Si 1.60
O87 0.6312 0.1953 0.8310  1 S 1.50
O88 0.6367 0.1775 0.1577  1 Si 1.61
O89 0.6383 0.8508 0.4935  1 Si 1.64
O90 0.6409 0.8664 0.1582  1 Si 1.64
O91 0.6429 0.5031 0.1090  1 Si 1.68
O92 0.6456 0.8439 0.7719  1 Si 1.77, 1 Nb 1.87
O93 0.6495 0.5162 0.8273  1 Si 1.67
O94 0.6571 0.5263 0.5107  1 Si 1.68
O95 0.6802 0.0858 0.9380  1 Si 1.66
O96 0.6997 0.9462 0.3874  1 Si 1.64
O97 0.7043 0.2691 0.0448  1 Si 1.60
O98 0.7076 0.7485 0.2770  1 S 1.47
O99 0.7094 0.6202 0.7156  1 S 1.49
O100 0.7096 0.0951 0.6580  1 Si 1.60
O101 0.7166 0.2638 0.3260  1 Si 1.62
O102 0.7199 0.9279 0.6688  1 Si 1.73, 1 Nb 1.90
O103 0.7219 0.5928 0.0076  1 Si 1.71
O104 0.7228 0.4304 0.3250  1 Si 1.63
O105 0.7239 0.9384 0.9942  1 Si 1.63
O106 0.7302 0.4314 0.6079  1 Si 1.70
O107 0.7296 0.7389 0.3815  1 S 1.48
O108 0.7324 0.9516 0.2729  1 Si 1.64
O109 0.7332 0.6153 0.3262  1 S 1.50
O110 0.7344 0.4097 0.7209  1 Si 1.62
O111 0.7373 0.6276 0.6105  1 S 1.49
O112 0.7416 0.0754 0.0518  1 Si 1.61
O113 0.7439 0.2770 0.6578  1 Si 1.61
O114 0.7443 0.7523 0.9910  1 Si 1.62
O115 0.7465 0.3023 0.9332  1 Si 1.66
O116 0.7489 0.0899 0.3308  1 Si 1.65
O117 0.7492 0.7518 0.6685  1 S 1.50
O118 0.7570 0.4252 0.0087  1 Si 1.68
O119 0.8744 0.7486 0.1588  1 Si 1.64
O120 0.8824 0.0866 0.8262  1 Si 1.64
O121 0.8895 0.0731 0.5439  1 Si 1.61
O122 0.8937 0.2988 0.4376  1 Si 1.63
O123 0.8970 0.4270 0.5057  1 Si 1.71
O124 0.8973 0.9397 0.7717  1 Si 1.76, 1 Nb 1.87
O125 0.8993 0.6017 0.1111  1 Si 1.72
O126 0.9016 0.7545 0.4895  1 Si 1.63
O127 0.9032 0.6223 0.8206  1 S 1.49
O128 0.9122 0.0921 0.1611  1 Si 1.62
O129 0.9131 0.7415 0.8799  1 S 1.47
O130 0.9170 0.5954 0.5087  1 Si 1.67
O131 0.9198 0.2858 0.1574  1 S 1.46
O132 0.9235 0.7579 0.7749  1 S 1.49
O133 0.9261 0.2737 0.8303  1 S 1.50
O134 0.9269 0.4064 0.2153  1 S 1.49
O135 0.9277 0.9358 0.4886  1 Si 1.64
O136 0.9321 0.4237 0.8266  1 S 1.51
O137 0.9353 0.6187 0.2258  1 Si 1.62
O138 0.9385 0.9437 0.8847  1 Si 1.60
O139 0.9421 0.2767 0.5522  1 Si 1.61
O140 0.9441 0.9274 0.1579  1 Si 1.65
O141 0.9448 0.4187 0.1099  1 S 1.50
O142 0.9757 0.0874 0.4348  1 Si 1.64
O143 0.9862 0.5235 0.0090  1 Si 1.68
O144 0.9969 0.5161 0.6101  1 Si 1.71

Computed properties:
- calculated volume (A^3/atom) = 14.4
- theoretical density (Mg/m³) = 3.04
- space-group type = No. 1
- E_tot (eV per atom) = -7.088
- formation energy (eV/atom) = -2.9021



No. 2
A relaxed Na2Y3NbSi2S4O24 crystal, computed with GGA-PBE.

Cell lengths 9.1245, 9.1304, 24.0332 Å; angles 89.77, 89.37, 60.03 degrees
Last column: nearest neighbours and their distance in Å.
Fractional coordinates of all 108 atoms:
Na1 0.0000 0.0000 0.0000  1 O 2.37
Na2 0.0021 0.0177 0.5163  5 O 2.56-2.86
Na3 0.3142 0.3843 0.1722  2 O 2.36-2.49
Na4 0.3293 0.3339 0.6775  5 O 2.60-2.83
Na5 0.6713 0.6914 0.3390  3 O 2.49-2.75
Na6 0.6847 0.6877 0.8395  3 O 2.44-2.65
Y1 0.3127 0.3680 0.3191  6 O 2.13-2.38
Y2 0.3147 0.3741 0.0280  3 O 2.03-2.22
Y3 0.3205 0.3477 0.5306  5 O 2.09-2.31
Y4 0.6406 0.7020 0.4969  3 O 2.07-2.30
Y5 0.6528 0.7044 0.6960  5 O 2.11-2.29
Y6 0.6555 0.6881 0.9870  6 O 2.19-2.43
Y7 0.6566 0.6860 0.1931  6 O 2.08-2.31
Y8 0.9816 0.0202 0.8611  5 O 2.06-2.28
Y9 0.9875 0.0156 0.3606  5 O 2.05-2.29
Nb1 0.3096 0.3549 0.8204  4 O 1.90-2.06
Nb2 0.9896 0.0359 0.6645  3 O 1.86-1.95
Nb3 0.9976 0.0037 0.1561  2 O 1.84-1.85
Si1 0.0273 0.6499 0.9245  4 O 1.61-1.75
Si2 0.3457 0.9886 0.5949  4 O 1.59-1.70
Si3 0.3665 0.6844 0.0941  4 O 1.60-1.77
Si4 0.6898 0.0337 0.7609  4 O 1.58-1.72
Si5 0.9864 0.3193 0.7630  4 O 1.57-1.74
Si6 0.9858 0.7273 0.2592  4 O 1.60-1.74
S1 0.0234 0.3589 0.4256  4 O 1.48-1.49
S2 0.2742 0.0250 0.2564  4 O 1.47-1.51
S3 0.2744 0.7266 0.7586  4 O 1.45-1.53
S4 0.3242 0.0707 0.9237  4 O 1.46-1.53
S5 0.3260 0.6499 0.4258  4 O 1.47-1.49
S6 0.6075 0.3581 0.9233  4 O 1.48-1.49
S7 0.6156 0.0615 0.4250  4 O 1.48-1.49
S8 0.6631 0.9861 0.0949  4 O 1.47-1.54
S9 0.6645 0.3850 0.5945  4 O 1.46-1.51
S10 0.7035 0.3084 0.2575  4 O 1.48-1.49
S11 0.9521 0.3818 0.0947  4 O 1.47-1.51
S12 0.9521 0.7002 0.5930  4 O 1.47-1.50
O1 0.0077 0.2052 0.4216  1 S 1.48
O2 0.0166 0.8314 0.9228  1 Si 1.61
O3 0.0199 0.1899 0.7059  1 Si 1.74, 1 Nb 1.86
O4 0.1093 0.3749 0.3747  1 S 1.49
O5 0.1254 0.5526 0.5856  1 S 1.49
O6 0.1256 0.3411 0.4753  1 S 1.48
O7 0.1264 0.3509 0.0888  1 S 1.47
O8 0.1330 0.5540 0.9791  1 Si 1.61
O9 0.1467 0.5222 0.8686  1 Si 1.75, 1 Nb 1.90
O10 0.1552 0.0028 0.6066  1 Si 1.70
O11 0.1629 0.5469 0.2573  1 Si 1.63
O12 0.1647 0.8163 0.7084  1 S 1.53
O13 0.1662 0.0427 0.2068  1 S 1.51
O14 0.1671 0.3288 0.7689  1 Si 1.70, 1 Nb 1.90
O15 0.1670 0.8650 0.1074  1 Si 1.77, 1 Nb 1.84
O16 0.1732 0.0537 0.9191  1 S 1.47
O17 0.1750 0.8223 0.4219  1 S 1.49
O18 0.1943 0.0093 0.3079  1 S 1.47
O19 0.2030 0.8254 0.8088  1 S 1.45
O20 0.2836 0.5582 0.7625  1 S 1.50
O21 0.2893 0.1793 0.2586  1 S 1.48
O22 0.3059 0.5682 0.4760  1 S 1.47
O23 0.3107 0.1659 0.9742  1 S 1.46
O24 0.3147 0.1806 0.5889  1 Si 1.64
O25 0.3263 0.5308 0.0927  1 Si 1.62
O26 0.3402 0.1610 0.8720  1 S 1.53
O27 0.3411 0.5497 0.3751  1 S 1.49
O28 0.4219 0.8801 0.5371  1 Si 1.64
O29 0.4397 0.7250 0.0382  1 Si 1.62
O30 0.4426 0.8738 0.2516  1 S 1.47
O31 0.4463 0.6984 0.7497  1 S 1.47
O32 0.4632 0.8963 0.6468  1 Si 1.59
O33 0.4658 0.6747 0.1499  1 Si 1.60
O34 0.4809 0.9027 0.9243  1 S 1.49
O35 0.4818 0.6636 0.4286  1 S 1.49
O36 0.5041 0.2133 0.7697  1 Si 1.68
O37 0.5055 0.3686 0.8739  1 S 1.49
O38 0.5151 0.1554 0.0891  1 S 1.47
O39 0.5148 0.3636 0.5872  1 S 1.49
O40 0.5165 0.1446 0.3746  1 S 1.48
O41 0.5308 0.1617 0.4755  1 S 1.48
O42 0.5323 0.3362 0.9754  1 S 1.48
O43 0.5359 0.3178 0.2611  1 S 1.49
O44 0.6160 0.5166 0.9262  1 S 1.49
O45 0.6369 0.8891 0.4294  1 S 1.49
O46 0.6397 0.4897 0.6435  1 S 1.46
O47 0.6435 0.9040 0.1447  1 S 1.47
O48 0.6553 0.8795 0.7525  1 Si 1.60
O49 0.6803 0.4799 0.2534  1 S 1.48
O50 0.6939 0.4589 0.5431  1 S 1.49
O51 0.6999 0.8811 0.0444  1 S 1.48
O52 0.7807 0.2112 0.9204  1 S 1.48
O53 0.7854 0.0470 0.4223  1 S 1.49
O54 0.7944 0.2054 0.2076  1 S 1.49
O55 0.7976 0.0525 0.7045  1 Si 1.72, 1 Nb 1.93
O56 0.8003 0.2323 0.3088  1 S 1.48
O57 0.8049 0.0016 0.8134  1 Si 1.58
O58 0.8177 0.0089 0.1037  1 S 1.54
O59 0.8191 0.7114 0.2541  1 Si 1.60
O60 0.8197 0.2120 0.6014  1 S 1.51
O61 0.8312 0.5013 0.7502  1 Si 1.59
O62 0.8443 0.6580 0.9236  1 Si 1.63
O63 0.8499 0.4580 0.0444  1 S 1.48
O64 0.8503 0.7210 0.5423  1 S 1.50
O65 0.8537 0.5121 0.4301  1 S 1.48
O66 0.8746 0.4900 0.1440  1 S 1.47
O67 0.8761 0.6670 0.6422  1 S 1.47
O68 0.9627 0.2133 0.1047  1 S 1.51
O69 0.9647 0.8554 0.6000  1 S 1.49
O70 0.9713 0.8385 0.3129  1 Si 1.61
O71 0.9777 0.2247 0.8165  1 Si 1.57
O72 0.9986 0.8428 0.2036  1 Si 1.74, 1 Nb 1.85

Computed properties:
- calculated volume (A^3/atom) = 16.1
- theoretical density (Mg/m³) = 2.80
- space-group type = No. 1
- E_tot (eV per atom) = -7.226
- formation energy (eV/atom) = -2.7319